Entry from the Materials Project database: La2CdSe4 after structural relaxation (PBE).

Cell lengths 7.874, 7.874, 7.874 Å; angles 110.89, 110.89, 106.67 degrees
Atoms (fractional coordinates):
Se: 0.134 0.509 0.764
La: 0.375 0.987 0.112
La: 0.013 0.125 0.388
Se: 0.259 0.384 0.264
Se: 0.616 0.880 0.875
La: 0.875 0.263 0.888
Se: 0.491 0.255 0.625
Se: 0.630 0.866 0.375
Se: 0.005 0.741 0.125
Cd: 0.250 0.750 0.500
Cd: 0.500 0.500 0.000
Se: 0.745 0.370 0.236
La: 0.737 0.625 0.612
Se: 0.120 0.995 0.736

Summary:
Total energy after the MP2020 corrections (eV for the cell shown): -74.8
Total energy (eV/atom): -5.08



Entry from the Materials Project database: Na4TeO5 after structural relaxation (PBE).

Cell lengths 5.770, 5.809, 8.653 Å; angles 101.95, 108.76, 102.54 degrees
Atoms (fractional coordinates):
O: 0.923 0.192 0.038
Na: 0.303 0.996 0.599
O: 0.240 0.214 0.846
O: 0.567 0.776 0.760
Na: 0.310 0.515 0.100
Te: 0.901 0.994 0.797
Na: 0.690 0.485 0.900
Na: 0.500 0.500 0.500
O: 0.760 0.786 0.154
Na: 0.500 0.000 0.000
O: 0.433 0.224 0.240
O: 0.258 0.793 0.312
O: 0.742 0.207 0.688
O: 0.090 0.226 0.401
O: 0.077 0.808 0.962
Te: 0.099 0.006 0.203
Na: 0.112 0.494 0.698
Na: 0.697 0.004 0.401
Na: 0.888 0.506 0.302
O: 0.910 0.774 0.599

Summary:
Total energy after the MP2020 corrections (eV for the cell shown): -104.0
ΔE to the lowest computed polymorph (eV/atom): 0.0000
Total energy (eV/atom): -4.85



Q: Number 1 is which compound?
A: La2CdSe4



Q: What is the formula in the first record?
A: La2CdSe4



Q: The lowest total energy belongs to which entry?
A: La2CdSe4